1.
This record from the Materials Project describes a relaxed Nd5Fe18B18 crystal. The functional is PBE.

```
data_Nd5Fe18B18
_chemical_formula_sum 'Nd20 Fe72 B72'
_symmetry_space_group_name_H-M 'P c c n'
_symmetry_Int_Tables_number 56
_symmetry_space_group_name_Hall '-P 2ab 2ac'
_cell_length_a 7.0667
_cell_length_b 7.0718
_cell_length_c 34.7038
_cell_angle_alpha 90.00
_cell_angle_beta 90.00
_cell_angle_gamma 90.00
loop_
_atom_site_label
_atom_site_fract_x
_atom_site_fract_y
_atom_site_fract_z
Nd1 0.2500 0.2500 0.0238
Nd2 0.2500 0.2500 0.1245
Nd3 0.2500 0.2500 0.2234
Nd4 0.2500 0.2500 0.3221
Nd5 0.2500 0.2500 0.4224
Fe1 0.1173 0.6378 0.4290
Fe2 0.1178 0.6376 0.3186
Fe3 0.1213 0.6353 0.5398
Fe4 0.1241 0.6333 0.2074
Fe5 0.1289 0.6283 0.6514
Fe6 0.1328 0.6255 0.0955
Fe7 0.1360 0.6196 0.7632
Fe8 0.1369 0.6193 0.9843
Fe9 0.1380 0.6170 0.8738
B1 0.0494 0.5836 0.9289
B2 0.0550 0.5814 0.8184
B3 0.0560 0.5823 0.0396
B4 0.0680 0.5746 0.1511
B5 0.0689 0.5748 0.7071
B6 0.0788 0.5592 0.2627
B7 0.0791 0.5630 0.5953
B8 0.0829 0.5502 0.3735
B9 0.0827 0.5527 0.4841
```

Properties
* energy: -1255.729 eV for the cell shown
* formation energy: -424.4 meV per atom
* total moment: 0.06 μB per cell



2.
This record from the Materials Project describes a relaxed Sr3Ta2Ti6O21 crystal. The functional is PBE.

```
data_Sr3Ta2Ti6O21
_chemical_formula_sum 'Sr6 Ta4 Ti12 O42'
_symmetry_space_group_name_H-M 'P 63/m c m'
_symmetry_Int_Tables_number 193
_symmetry_space_group_name_Hall '-P 6c 2'
_cell_length_a 8.9726
_cell_length_b 8.9726
_cell_length_c 11.6672
_cell_angle_alpha 90.00
_cell_angle_beta 90.00
_cell_angle_gamma 120.00
loop_
_atom_site_label
_atom_site_fract_x
_atom_site_fract_y
_atom_site_fract_z
Sr1 0.0000 0.4022 0.2500
Ta1 0.3333 0.6667 0.0000
Ti1 0.0000 0.2396 0.5957
O1 0.0000 0.1977 0.7500
O2 0.0000 0.2095 0.0753
O3 0.1646 0.4844 0.6043
```

Properties
* energy: -545.684 eV for the cell shown
* formation energy: -3350.1 meV per atom
* total moment: 4.00 μB per cell
* E (MP2020): -8.98 eV/atom



3.
This record from the Materials Project describes a relaxed Na2Re3S6 crystal. The functional is PBE.

```
data_Na2Re3S6
_chemical_formula_sum 'Na16 Re24 S48'
_symmetry_space_group_name_H-M 'C 1 2/c 1'
_symmetry_Int_Tables_number 15
_symmetry_space_group_name_Hall '-C 2yc'
_cell_length_a 16.0646
_cell_length_b 9.7355
_cell_length_c 11.6542
_cell_angle_alpha 90.00
_cell_angle_beta 92.71
_cell_angle_gamma 90.00
loop_
_atom_site_label
_atom_site_fract_x
_atom_site_fract_y
_atom_site_fract_z
Na1 0.0000 0.0728 0.2500
Na2 0.0000 0.2889 0.7500
Na3 0.1258 0.2709 0.0080
Re1 0.1558 0.3551 0.4679
Re2 0.2025 0.1042 0.4146
Re3 0.2029 0.1822 0.6327
S1 0.0317 0.4932 0.4228
S2 0.0744 0.1533 0.5134
S3 0.1364 0.0955 0.8078
S4 0.1618 0.2743 0.2711
S5 0.1634 0.4167 0.6680
S6 0.2489 0.0423 0.0732
```

Properties
* energy: -582.097 eV for the cell shown
* formation energy: -998.4 meV per atom
* E (MP2020): -6.89 eV/atom



4.
This record from the Materials Project describes a relaxed BaTiO3 crystal. The functional is PBE.

```
data_BaTiO3
_chemical_formula_sum 'Ba2 Ti2 O6'
_symmetry_space_group_name_H-M 'A m m 2'
_symmetry_Int_Tables_number 38
_symmetry_space_group_name_Hall 'A 2 -2'
_cell_length_a 8.8815
_cell_length_b 5.3137
_cell_length_c 5.3336
_cell_angle_alpha 90.00
_cell_angle_beta 90.00
_cell_angle_gamma 90.00
loop_
_atom_site_label
_atom_site_fract_x
_atom_site_fract_y
_atom_site_fract_z
Ba1 0.0000 0.0000 0.0000
Ti1 0.5000 0.0000 0.0410
O1 0.0000 0.0000 0.5012
O2 0.5000 0.2438 0.7502
```

Properties
* energy: -70.327 eV for the cell shown
* formation energy: -2513.2 meV per atom
* total moment: 0.03 μB per cell
* E (MP2020): -7.44 eV/atom



5.
This record from the Materials Project describes a relaxed Cr3Pt crystal. The functional is PBE.

```
data_Cr3Pt
_chemical_formula_sum 'Cr6 Pt2'
_symmetry_space_group_name_H-M 'P 63/m m c'
_symmetry_Int_Tables_number 194
_symmetry_space_group_name_Hall '-P 6c 2c'
_cell_length_a 5.3634
_cell_length_b 5.3634
_cell_length_c 4.1220
_cell_angle_alpha 90.00
_cell_angle_beta 90.00
_cell_angle_gamma 120.00
loop_
_atom_site_label
_atom_site_fract_x
_atom_site_fract_y
_atom_site_fract_z
Cr1 0.1512 0.3024 0.2500
Pt1 0.3333 0.6667 0.7500
```

Properties
* energy: -70.020 eV for the cell shown
* formation energy: 5.1 meV per atom



6.
This record from the Materials Project describes a relaxed NdP2H9O10 crystal. The functional is PBE.

```
data_NdP2H9O10
_chemical_formula_sum 'Nd4 P8 H36 O40'
_symmetry_space_group_name_H-M 'P n n a'
_symmetry_Int_Tables_number 52
_symmetry_space_group_name_Hall '-P 2a 2bc'
_cell_length_a 10.1584
_cell_length_b 11.7970
_cell_length_c 7.3431
_cell_angle_alpha 90.00
_cell_angle_beta 90.00
_cell_angle_gamma 90.00
loop_
_atom_site_label
_atom_site_fract_x
_atom_site_fract_y
_atom_site_fract_z
Nd1 0.2433 0.2500 0.2500
P1 0.0313 0.0708 0.5871
H1 0.0553 0.7439 0.5552
H2 0.1209 0.0140 0.1596
H3 0.1294 0.0701 0.9624
H4 0.1466 0.6462 0.6283
H5 0.2500 0.0000 0.6991
O1 0.0858 0.1653 0.4652
O2 0.0922 0.6047 0.1952
O3 0.1331 0.0869 0.0942
O4 0.1354 0.0222 0.7238
O5 0.1461 0.7133 0.5506
```

Properties
* energy: -525.387 eV for the cell shown
* formation energy: -1936.7 meV per atom
* total moment: 0.00 μB per cell
* E (MP2020): -6.28 eV/atom



7.
This record from the Materials Project describes a relaxed BaSrLaNbO6 crystal. The functional is PBE.

```
data_BaSrLaNbO6
_chemical_formula_sum 'Ba4 Sr4 La4 Nb4 O24'
_symmetry_space_group_name_H-M 'P 2 2 2'
_symmetry_Int_Tables_number 16
_symmetry_space_group_name_Hall 'P 2 2'
_cell_length_a 8.6566
_cell_length_b 8.6570
_cell_length_c 8.6721
_cell_angle_alpha 90.00
_cell_angle_beta 90.00
_cell_angle_gamma 90.00
loop_
_atom_site_label
_atom_site_fract_x
_atom_site_fract_y
_atom_site_fract_z
Ba1 0.0000 0.0000 0.0000
Ba2 0.0000 0.0000 0.5000
Ba3 0.0000 0.5000 0.0000
Ba4 0.5000 0.5000 0.0000
Sr1 0.0000 0.5000 0.5000
Sr2 0.5000 0.0000 0.0000
Sr3 0.5000 0.0000 0.5000
Sr4 0.5000 0.5000 0.5000
La1 0.2524 0.2494 0.7481
Nb1 0.2527 0.2513 0.2539
O1 0.0223 0.2162 0.2219
O2 0.2074 0.2877 0.4813
O3 0.2244 0.4800 0.2135
O4 0.2889 0.0218 0.2953
O5 0.2930 0.2134 0.0234
O6 0.4805 0.2923 0.2925
```

Properties
* energy: -311.838 eV for the cell shown
* formation energy: -3374.8 meV per atom
* total moment: 0.00 μB per cell
* E (MP2020): -8.21 eV/atom